Below is a relaxed structure of LiVO3, with properties calculated at the PBE+U level.

The structure in POSCAR format:
```
LiVO3
1.0
4.3153 5.2196 0.0000
-4.3153 5.2196 0.0000
0.0000 2.1774 5.5305
O V Li
12 4 4
Direct
0.2219 0.0050 0.3343 O
0.0875 0.6248 0.7152 O
0.0050 0.2219 0.8343 O
0.3844 0.3213 0.9139 O
0.6156 0.6787 0.0861 O
0.3752 0.9125 0.7848 O
0.7781 0.9950 0.6657 O
0.3213 0.3844 0.4139 O
0.9950 0.7781 0.1657 O
0.6787 0.6156 0.5861 O
0.9125 0.3752 0.2848 O
0.6248 0.0875 0.2152 O
0.1937 0.3807 0.7291 V
0.8063 0.6193 0.2709 V
0.3807 0.1937 0.2291 V
0.6193 0.8063 0.7709 V
0.0821 0.9179 0.7500 Li
0.2724 0.7276 0.2500 Li
0.7276 0.2724 0.7500 Li
0.9179 0.0821 0.2500 Li
```

Output
The value obtained for the energy relative to the elements is -2.408 eV per atom. The value obtained for the calculated total energy is -136.453 eV/cell.